Entry 1:
Here is a relaxed structure of Li2VCrO4 from the Materials Project. Energies are from PBE+U.

Summary:
Electronic total energy in eV per cell: -166.1

Unit cell a=5.167 b=6.014 c=7.880 alpha=101.30 beta=96.54 gamma=106.63
Space group P-1 (No. 2)
Unique sites:
Li  0.001  0.255  0.498 x2
Li  0.001  0.417  0.167 x2
Li  0.002  0.082  0.835 x2
V  0.499  0.165  0.667 x2
V  0.500  0.000  0.000 x1
Cr  0.499  0.337  0.333 x2
Cr  0.500  0.500  0.000 x1
O  0.271  0.222  0.087 x2
O  0.273  0.872  0.754 x2
O  0.274  0.547  0.421 x2
O  0.275  0.050  0.418 x2
O  0.275  0.716  0.084 x2
O  0.276  0.379  0.752 x2



Entry 2:
Here is a relaxed structure of Ba2AlV3O7 from the Materials Project. Energies are from PBE+U.

Summary:
Electronic total energy in eV per cell: -90.1

Unit cell a=3.786 b=4.086 c=11.483 alpha=90.00 beta=90.00 gamma=90.00
Space group Pmmm (No. 47)
Unique sites:
Ba  0.000  0.000  0.180 x2
Al  0.000  0.000  0.500 x1
V  0.500  0.500  0.000 x1
V  0.500  0.500  0.353 x2
O  0.000  0.500  0.393 x2
O  0.500  0.000  0.000 x1
O  0.500  0.000  0.389 x2
O  0.500  0.500  0.179 x2



Entry 3:
Here is a relaxed structure of MgW4O12 from the Materials Project. Energies are from PBE+U.

Summary:
Electronic total energy in eV per cell: -124.1

Unit cell a=5.382 b=5.382 c=7.813 alpha=90.00 beta=90.00 gamma=90.00
Space group P-4 (No. 81)
Unique sites:
Mg  0.000  0.000  0.000 x1
W  0.000  0.500  0.254 x2
W  0.000  0.500  0.748 x2
O  0.000  0.500  0.505 x2
O  0.000  0.500  0.997 x2
O  0.180  0.817  0.225 x4
O  0.300  0.688  0.748 x4



Entry 4:
Here is a relaxed structure of CrN3O4 from the Materials Project. Energies are from PBE+U.

Summary:
Electronic total energy in eV per cell: -333.3

Unit cell a=16.241 b=7.826 c=9.644 alpha=90.00 beta=97.01 gamma=90.00
Space group P2_1/c (No. 14)
Unique sites:
Cr  0.124  0.127  0.296 x4
Cr  0.374  0.659  0.291 x4
N  0.121  0.149  0.735 x4
N  0.126  0.576  0.899 x4
N  0.131  0.031  0.132 x4
N  0.367  0.087  0.664 x4
N  0.375  0.522  0.445 x4
N  0.379  0.660  0.870 x4
O  0.003  0.622  0.235 x4
O  0.014  0.188  0.389 x4
O  0.224  0.208  0.448 x4
O  0.249  0.636  0.258 x4
O  0.252  0.145  0.339 x4
O  0.273  0.709  0.148 x4
O  0.470  0.696  0.176 x4
O  0.497  0.618  0.293 x4



Entry 5:
Here is a relaxed structure of Li4FeTeW2O12 from the Materials Project. Energies are from PBE+U.

Summary:
Electronic total energy in eV per cell: -253.3

Unit cell a=5.493 b=9.181 c=9.196 alpha=68.99 beta=86.36 gamma=86.46
Space group P1 (No. 1)
Unique sites:
Li  0.000  0.000  0.000 x1
Li  0.002  0.215  0.231 x1
Li  0.007  0.739  0.729 x1
Li  0.013  0.485  0.504 x1
Li  0.360  0.946  0.455 x1
Li  0.376  0.455  0.948 x1
Li  0.462  0.740  0.256 x1
Li  0.480  0.243  0.749 x1
Fe  0.428  0.096  0.095 x1
Fe  0.429  0.592  0.599 x1
Te  0.911  0.093  0.603 x1
Te  0.937  0.596  0.105 x1
W  0.421  0.845  0.855 x1
W  0.430  0.333  0.350 x1
W  0.912  0.844  0.350 x1
W  0.916  0.353  0.843 x1
O  0.091  0.791  0.966 x1
O  0.092  0.274  0.478 x1
O  0.098  0.220  0.018 x1
O  0.103  0.724  0.525 x1
O  0.201  0.957  0.659 x1
O  0.206  0.914  0.223 x1
O  0.215  0.407  0.717 x1
O  0.244  0.459  0.158 x1
O  0.375  0.158  0.288 x1
O  0.396  0.031  0.899 x1
O  0.400  0.512  0.409 x1
O  0.403  0.670  0.783 x1
O  0.565  0.733  0.039 x1
O  0.591  0.204  0.547 x1
O  0.602  0.777  0.458 x1
O  0.609  0.282  0.959 x1
O  0.721  0.904  0.720 x1
O  0.726  0.456  0.661 x1
O  0.728  0.365  0.246 x1
O  0.728  0.963  0.169 x1
O  0.898  0.149  0.785 x1
O  0.905  0.030  0.418 x1
O  0.923  0.653  0.297 x1
O  0.928  0.534  0.892 x1



Entry 6:
Here is a relaxed structure of K2RbYV2O8 from the Materials Project. Energies are from PBE+U.

Summary:
Electronic total energy in eV per cell: -96.7

Unit cell a=6.0413 b=6.0413 c=7.8546 alpha=90.00 beta=90.00 gamma=120.00
Space group P-3m1 (No. 164)
Unique sites:
K  0.3333  0.6667  0.2020 x2
Rb  0.0000  0.0000  0.5000 x1
Y  0.0000  0.0000  0.0000 x1
V  0.3333  0.6667  0.7527 x2
O  0.1745  0.3490  0.8291 x6
O  0.3333  0.6667  0.5385 x2



Entry 7:
Here is a relaxed structure of Sm2MgMo2I8O30 from the Materials Project. Energies are from PBE+U.

Summary:
Electronic total energy in eV per cell: -230.8

Unit cell a=6.997 b=7.262 c=14.494 alpha=88.59 beta=88.23 gamma=65.40
Space group P1 (No. 1)
Unique sites:
Sm  0.000  0.000  0.000 x1
Sm  0.209  0.099  0.497 x1
Mg  0.748  0.462  0.557 x1
Mo  0.493  0.355  0.163 x1
Mo  0.666  0.825  0.685 x1
I  0.238  0.612  0.634 x1
I  0.316  0.445  0.897 x1
I  0.330  0.866  0.244 x1
I  0.569  0.307  0.397 x1
I  0.608  0.817  0.920 x1
I  0.826  0.303  0.763 x1
I  0.870  0.692  0.401 x1
I  0.936  0.507  0.122 x1
O  0.028  0.162  0.844 x1
O  0.062  0.428  0.420 x1
O  0.124  0.959  0.160 x1
O  0.125  0.709  0.899 x1
O  0.182  0.964  0.352 x1
O  0.185  0.801  0.539 x1
O  0.298  0.496  0.079 x1
O  0.328  0.385  0.565 x1
O  0.329  0.394  0.773 x1
O  0.338  0.605  0.263 x1
O  0.356  0.225  0.220 x1
O  0.365  0.933  0.986 x1
O  0.458  0.986  0.615 x1
O  0.484  0.878  0.802 x1
O  0.517  0.587  0.652 x1
O  0.519  0.078  0.415 x1
O  0.563  0.478  0.903 x1
O  0.637  0.646  0.441 x1
O  0.655  0.550  0.144 x1
O  0.685  0.030  0.917 x1
O  0.695  0.171  0.097 x1
O  0.712  0.251  0.287 x1
O  0.794  0.223  0.477 x1
O  0.809  0.960  0.718 x1
O  0.828  0.710  0.279 x1
O  0.842  0.554  0.774 x1
O  0.858  0.752  0.062 x1
O  0.859  0.664  0.596 x1
O  0.960  0.251  0.645 x1
O  0.992  0.337  0.024 x1



Entry 8:
Here is a relaxed structure of KMnO2 from the Materials Project. Energies are from PBE+U.

Summary:
Electronic total energy in eV per cell: -299.2

Unit cell a=6.311 b=11.553 c=10.373 alpha=90.00 beta=94.81 gamma=90.00
Space group P2_1/m (No. 11)
Unique sites:
K  0.066  0.104  0.118 x4
K  0.075  0.750  0.176 x2
K  0.170  0.250  0.425 x2
K  0.190  0.541  0.415 x4
Mn  0.357  0.750  0.720 x2
Mn  0.363  0.501  0.730 x4
Mn  0.379  0.250  0.728 x2
Mn  0.484  0.625  0.012 x4
O  0.162  0.621  0.669 x4
O  0.192  0.128  0.658 x4
O  0.294  0.750  0.946 x2
O  0.308  0.002  0.941 x4
O  0.315  0.250  0.944 x2
O  0.423  0.622  0.229 x4
O  0.432  0.126  0.269 x4